# 1
# LiTaGeO5

A geometry-optimized LiTaGeO5 structure (PBE, the Materials Project database).

Cell: 8.1826 7.6053 7.6825 Å, 60.34 90.00 90.00°
With the nearest neighbours (Å) after each atom.
Positions (direct):
O 0.7539 0.3488 0.5516  1 Ge 1.77
O 0.3178 0.7480 0.7509  2 Ta 1.92-2.04, 1 Li 2.00
O 0.0141 0.5683 0.7488  1 Ge 1.77, 1 Ta 1.95
O 0.2472 0.8498 0.0509  1 Ge 1.77
O 0.4859 0.0683 0.7488  1 Ge 1.77, 1 Ta 1.95
O 0.1822 0.2480 0.7509  2 Ta 1.92-2.04, 1 Li 2.00
O 0.2528 0.3498 0.0509  1 Ge 1.77
O 0.2539 0.1512 0.4484  1 Ge 1.77
O 0.9875 0.0518 0.2519  1 Ge 1.77
O 0.6822 0.2520 0.2491  2 Ta 1.92-2.04, 1 Li 2.00
O 0.7472 0.6502 0.9491  1 Ge 1.77
O 0.4875 0.4482 0.7481  1 Ge 1.77
O 0.8178 0.7520 0.2491  2 Ta 1.92-2.04, 1 Li 2.00
O 0.5125 0.5518 0.2519  1 Ge 1.77
O 0.0125 0.9482 0.7481  1 Ge 1.77
O 0.9859 0.4317 0.2512  1 Ge 1.77, 1 Ta 1.95
O 0.2461 0.6512 0.4484  1 Ge 1.77
O 0.7528 0.1502 0.9491  1 Ge 1.77
O 0.5141 0.9317 0.2512  1 Ge 1.77, 1 Ta 1.95
O 0.7461 0.8488 0.5516  1 Ge 1.77
Ta 0.7579 0.5074 0.2506  6 O 1.92-2.04
Ta 0.2421 0.4926 0.7494  6 O 1.92-2.04
Ta 0.2579 0.9926 0.7494  6 O 1.92-2.04
Ta 0.7421 0.0074 0.2506  6 O 1.92-2.04
Ge 0.8890 0.7570 0.7497  4 O 1.77
Ge 0.3890 0.7430 0.2503  4 O 1.77
Ge 0.1110 0.2430 0.2503  4 O 1.77
Ge 0.6110 0.2570 0.7497  4 O 1.77
Li 0.0589 0.7909 0.2502  4 O 2.00-2.07
Li 0.9411 0.2091 0.7498  4 O 2.00-2.07
Li 0.5589 0.7091 0.7498  4 O 2.00-2.07
Li 0.4411 0.2909 0.2502  4 O 2.00-2.07

Summary:
Total magnetization = 0.000 μB per formula unit
Distance to the lowest polymorph of the same formula = 0 meV per atom
Raw total energy = -7.72 eV/atom


# 2
# KO2

A geometry-optimized KO2 structure (PBE, the Materials Project database).

Cell: 3.9644 4.3971 3.9644 Å, 116.79 90.00 116.79°
With the nearest neighbours (Å) after each atom.
Positions (direct):
K 0.0000 0.0000 0.0000  10 O 2.71-2.88
O 0.4001 0.8001 0.4001  1 O 1.35
O 0.5999 0.1999 0.5999  1 O 1.35

Summary:
Distance to the lowest polymorph of the same formula = 0 meV per atom
Raw total energy = -4.55 eV/atom


no.,ΔH_f (0 K) (eV per atom)
1,-2.7602
2,-0.9872